Density functional theory data (PBE) for a relaxed structure of Y5Pb3.

Values from the calculation:
Crystal system: hexagonal
Calculated volume, Å³/f.u.: 238.9
Energy of formation, eV per atom: -0.5883

Unit cell a=9.0894 b=9.0894 c=6.6781 alpha=90.00 beta=90.00 gamma=120.00
Space group P6_3/mcm (No. 193)
Unique sites:
Y  0.0000  0.2373  0.2500 [6 per cell]
Y  0.3333  0.6667  0.0000 [4 per cell]
Pb  0.0000  0.3952  0.7500 [6 per cell]